Crystalline Na3YMgSiS2O12 at its relaxed geometry, computed with GGA-PBE.

Summary:
The calculation puts the theoretical density at 2.72 g/cm³. The calculation puts the electronic total energy at -6.44 eV/atom.

Geometry as extended XYZ:
```
120
Lattice="-3.255 8.586 -0.986 -2.148 -6.496 -6.234 -18.686 -5.685 12.182" Properties=species:S:1:pos:R:3 pbc="T T T"
Na -6.791 3.866 2.427
Na -5.871 -5.483 -1.137
Na -17.263 -2.918 4.333
Na -15.351 -1.042 8.755
Na -12.737 -2.854 4.629
Na -14.973 -3.812 0.530
Na -4.449 -4.086 -5.203
Na -2.449 -2.505 -1.176
Na -21.973 -1.231 6.037
Na -19.190 0.584 10.174
Na -8.718 0.447 4.425
Na -11.688 -0.875 0.232
Na -14.502 -0.864 -1.061
Na -20.729 -11.927 5.974
Na -18.265 -1.046 7.546
Na -8.893 1.719 1.464
Na -5.524 -2.457 -2.517
Na -14.916 -5.171 3.559
Y -17.454 -1.649 0.796
Y -4.917 -7.235 -4.328
Y -21.245 -2.123 9.242
Y -11.965 0.888 3.131
Y -8.474 -3.285 -0.666
Y -17.815 -6.133 5.426
Mg -6.585 -2.007 4.167
Mg -15.921 -4.868 10.260
Mg -15.693 -0.253 5.557
Mg -6.290 2.432 -0.516
Mg -2.765 -1.729 -4.318
Mg -12.230 -4.251 1.736
Si -5.741 1.124 2.714
Si -16.380 1.701 8.413
Si -14.410 -1.736 2.568
Si -6.073 3.761 -3.828
Si -20.266 -8.715 4.807
Si -11.962 -3.132 -1.599
S -8.525 0.080 -1.974
S -8.522 5.221 0.239
S -15.599 -3.598 7.016
S -18.804 -0.292 3.833
S -14.837 2.796 4.042
S -12.211 -0.354 6.531
S -3.812 4.981 0.154
S -3.536 0.470 -1.456
S -20.648 -4.173 6.376
S -18.102 -7.265 8.896
S -9.692 -1.960 2.522
S -9.390 -6.382 0.864
O -6.545 -0.097 3.447
O -10.002 0.124 -1.951
O -9.151 5.480 1.540
O -16.001 -3.941 8.386
O -19.888 -1.288 3.975
O -17.839 2.210 8.947
O -17.632 -3.541 1.602
O -14.120 -3.603 6.875
O -14.934 -8.989 3.470
O -8.033 0.296 -3.361
O -4.147 -2.420 0.975
O -6.351 -5.813 -3.902
O -15.547 1.664 4.663
O -13.695 -0.253 6.546
O -15.171 -1.470 4.000
O -6.578 3.352 -2.318
O -4.863 3.937 0.300
O -4.857 0.953 -1.020
O -2.704 1.609 -1.924
O -4.437 3.781 -3.934
O -3.111 4.824 -1.152
O -11.688 -0.039 5.171
O -13.159 -0.700 2.346
O -13.431 2.418 3.748
O -21.282 -5.327 7.008
O -19.577 -7.238 8.937
O -21.011 -8.491 6.260
O -12.484 -3.495 -0.078
O -10.786 -2.938 2.679
O -10.670 -5.831 1.301
O -8.523 -5.318 0.279
O -10.306 -3.253 -1.658
O -9.013 -2.145 1.219
O -17.615 -6.944 7.535
O -19.096 -7.554 4.600
O -19.255 -4.497 5.950
O -9.632 -7.462 -0.140
O -12.424 -1.585 -1.915
O -8.755 -2.071 3.663
O -17.556 -6.343 9.918
O -19.576 -10.209 4.839
O -21.463 -3.743 5.198
O -14.707 3.959 4.994
O -11.764 -1.749 6.792
O -15.350 -1.610 1.198
O -3.339 -5.805 -4.085
O -4.411 6.342 0.099
O -2.747 -0.103 -0.305
O -16.463 0.433 7.367
O -16.142 -2.234 6.714
O -17.807 -0.535 4.907
O -8.015 1.124 -1.048
O -8.013 3.812 0.255
O -6.556 1.787 1.447
O -20.510 -2.984 7.275
O -20.821 -0.062 8.192
O -19.134 -1.871 9.776
O -10.255 2.194 3.545
O -10.218 -0.544 2.482
O -11.830 1.607 0.984
O -3.668 -0.589 -2.474
O -3.415 -3.295 -3.156
O -5.011 -1.653 -4.953
O -13.820 -5.904 1.299
O -13.832 -3.304 2.610
O -12.300 -5.307 3.832
O -7.548 -4.114 -2.431
O -7.988 -1.258 -1.601
O -6.220 -3.235 0.078
O -16.144 -4.545 5.993
O -16.051 -7.478 4.878
O -17.530 -5.272 3.467
```

***

Crystalline Na4Y2Mg2SiS5O24 at its relaxed geometry, computed with GGA-PBE.

Summary:
The calculation puts the theoretical density at 2.66 g/cm³. The calculation puts the electronic total energy at -6.49 eV/atom.

Geometry as extended XYZ:
```
114
Lattice="-5.544 6.250 3.665 -3.382 -7.869 -2.938 3.344 -9.367 21.064" Properties=species:S:1:pos:R:3 pbc="T T T"
Na -6.831 -0.983 6.812
Na -4.069 -3.670 18.656
Na -2.909 -12.547 14.294
Na -4.943 -9.129 11.988
Na -5.817 -1.844 2.091
Na -0.584 -2.117 10.031
Na 1.555 -4.581 10.570
Na -3.415 -7.736 -2.757
Na -1.981 -6.316 19.259
Na -3.720 -1.549 8.417
Na -3.424 -4.801 2.685
Na -2.085 -9.469 13.409
Y -5.960 -9.680 18.683
Y -1.219 -13.884 10.713
Y 0.457 -1.400 3.171
Y -2.469 -4.841 15.800
Y -3.934 -3.484 -0.349
Y -2.362 -7.998 10.054
Mg -4.354 2.938 10.958
Mg -4.239 -0.094 5.278
Mg -1.626 -7.708 22.252
Mg -3.160 -3.007 11.596
Mg -3.067 -6.068 5.977
Mg -1.537 -10.807 16.579
Si -4.695 -10.485 15.344
Si -0.202 -3.392 13.397
Si -7.085 0.232 3.529
S -4.189 -8.367 3.562
S -5.405 -3.530 5.837
S -0.181 -4.765 4.481
S -0.151 -7.605 16.048
S 0.108 -12.494 13.846
S -4.500 -2.078 14.749
S -3.900 -6.189 12.775
S -3.580 3.025 4.060
S -2.985 -0.979 2.183
S -2.568 -9.850 19.724
S 1.601 -11.318 18.255
S -2.153 -14.077 17.651
S -5.413 -7.502 8.195
S -1.691 -4.639 8.833
S -1.046 -8.925 6.803
O -0.267 -1.679 7.221
O -6.226 -3.975 6.990
O -5.116 1.771 9.455
O 0.841 -7.629 17.145
O -5.445 -7.512 18.256
O -2.047 -2.517 19.745
O -5.292 -9.292 14.378
O 0.509 -7.129 14.794
O -0.588 -12.673 12.537
O -6.311 -3.327 4.655
O -0.230 -3.529 3.655
O -3.640 -8.360 2.161
O -4.018 -3.193 15.615
O -0.853 -3.964 14.817
O -3.379 -6.092 14.159
O -6.122 -0.121 4.796
O -3.538 1.787 4.855
O -3.382 -0.961 3.599
O -3.491 0.162 1.415
O -6.296 0.709 2.200
O -4.120 2.843 2.708
O -1.312 -3.083 12.252
O -3.847 -4.918 12.061
O -4.044 -2.231 13.367
O -2.042 -10.985 20.514
O 0.892 -11.837 19.442
O -1.503 -13.841 18.962
O -4.523 -7.702 9.392
O -1.634 -5.866 9.673
O -1.594 -8.955 8.208
O -1.593 -7.736 6.111
O -4.570 -7.071 7.053
O -2.311 -4.938 7.536
O 0.641 -11.026 17.158
O -2.098 -12.837 16.819
O -2.162 -9.948 18.305
O -1.553 -10.192 6.191
O -6.442 -6.515 8.579
O -0.283 -4.139 8.691
O 2.269 -10.057 18.708
O -1.378 -15.164 16.985
O -4.067 -9.933 19.830
O -3.946 -0.788 15.273
O 0.937 -4.434 12.851
O -5.317 -6.666 12.822
O -7.850 -1.188 3.022
O -4.386 4.084 4.760
O -1.498 -1.013 2.042
O -1.819 -4.125 17.754
O -1.213 -6.667 16.470
O -4.029 -5.811 17.323
O -4.767 -2.238 6.219
O -4.929 0.426 7.451
O -2.285 -0.538 6.490
O -2.119 -8.550 20.268
O -2.920 -6.028 21.448
O -0.175 -6.614 20.774
O -2.654 -0.940 10.758
O -2.481 -3.571 9.531
O -5.112 -2.630 10.489
O -3.528 -2.271 1.617
O -2.716 -4.994 0.420
O -5.562 -4.292 1.064
O -2.919 -9.830 11.002
O -3.109 -7.257 12.102
O -0.427 -8.305 11.211
O -3.677 -7.098 4.172
O -4.380 -4.525 5.439
O -1.591 -5.261 4.617
O -0.698 -8.947 15.757
O -0.623 -11.436 14.578
O -3.067 -10.480 15.335
```

***

Crystalline Na8Y2Mg2Si3S3O24 at its relaxed geometry, computed with GGA-PBE.

Summary:
The calculation puts the theoretical density at 2.83 g/cm³. The calculation puts the electronic total energy at -6.41 eV/atom.

Geometry as extended XYZ:
```
126
Lattice="-1.614 -6.811 6.170 8.319 0.556 -4.272 7.890 13.053 16.734" Properties=species:S:1:pos:R:3 pbc="T T T"
Na 1.252 -0.926 8.282
Na 4.259 1.207 4.952
Na 5.465 -3.325 7.515
Na 9.910 5.581 13.330
Na 7.001 2.953 16.883
Na 5.534 7.148 14.861
Na 7.169 5.879 10.363
Na 10.177 7.966 7.006
Na 11.449 3.548 9.757
Na 8.017 -0.348 -0.896
Na 5.290 -3.180 2.578
Na 3.698 1.322 0.338
Na 11.415 5.687 18.534
Na 6.156 7.063 19.057
Na 8.859 9.697 15.849
Na 4.037 -0.897 11.695
Na 2.867 2.980 8.748
Na 8.066 1.326 8.637
Na 2.415 -0.058 14.403
Na 16.004 13.464 12.524
Na 8.061 6.479 16.368
Na 4.070 -0.085 8.306
Na 6.411 0.510 1.868
Na 10.107 6.661 10.370
Y 3.573 1.704 16.990
Y 1.217 1.975 2.637
Y 9.454 8.508 19.170
Y 5.509 1.971 10.901
Y 7.580 2.248 4.486
Y 11.484 8.680 12.836
Mg 2.836 4.531 5.770
Mg 6.719 10.893 14.115
Mg 7.094 4.492 14.127
Mg 3.184 -1.973 5.937
Mg 5.253 -1.513 -0.686
Mg 9.125 4.781 8.061
Si 1.555 1.174 6.062
Si 2.873 -3.377 9.048
Si 7.931 7.839 13.165
Si 4.877 5.034 16.924
Si 5.891 1.112 14.323
Si 8.776 3.402 11.169
Si 4.360 -5.134 4.647
Si 14.790 10.331 13.251
Si 10.298 1.622 6.787
S 6.623 -1.118 5.563
S 10.167 3.484 15.760
S 4.234 5.132 11.953
S -0.186 -3.378 5.383
S 2.927 -1.201 2.212
S 11.837 8.147 16.464
S 10.248 11.970 14.111
S 5.776 3.410 7.462
S 8.842 5.610 4.306
O 2.291 2.615 6.334
O 7.603 -1.126 6.662
O 2.347 -2.592 10.368
O 7.609 9.168 14.064
O 11.338 4.273 16.222
O 5.230 5.078 18.537
O 12.286 4.275 12.325
O 6.947 7.792 11.855
O 12.139 9.451 8.426
O 6.871 -2.274 4.637
O 3.289 2.448 2.298
O 9.309 1.644 0.236
O 6.650 2.538 14.596
O 5.210 5.148 13.061
O 8.255 4.171 12.507
O 3.977 -3.755 5.437
O 0.968 -2.554 5.784
O 3.260 -1.149 3.646
O 2.210 -2.478 1.906
O 3.373 -5.300 3.330
O 0.156 -4.152 4.151
O 4.501 3.980 11.037
O 7.567 2.461 10.554
O 5.326 1.057 12.768
O 12.430 9.470 16.792
O 11.251 12.054 15.206
O 14.424 11.174 14.612
O 9.908 2.985 7.600
O 6.965 4.181 7.862
O 9.158 5.629 5.742
O 8.126 4.339 3.956
O 9.304 1.468 5.477
O 6.070 2.625 6.222
O 10.501 10.770 13.287
O 13.544 9.337 12.896
O 11.442 8.101 15.038
O 10.092 5.719 3.504
O 10.113 0.333 7.814
O 4.629 4.335 7.219
O 8.886 11.968 14.694
O 15.113 11.417 12.043
O 12.801 7.071 16.798
O 6.117 7.676 9.024
O 12.625 6.901 6.829
O 10.021 2.342 11.457
O 5.896 -5.148 3.988
O -0.554 -4.387 6.423
O 1.983 -0.115 1.793
O 6.261 5.103 16.042
O 7.765 6.533 14.141
O 9.057 4.404 15.442
O 5.252 -1.191 6.123
O 3.310 -2.270 7.919
O 2.634 -0.037 6.354
O 10.564 7.911 17.231
O 8.743 6.336 19.342
O 7.783 8.749 17.750
O 3.502 1.074 10.361
O 5.363 2.419 8.505
O 6.282 -0.114 10.064
O 4.173 -1.114 1.399
O 5.786 0.427 -0.446
O 6.938 -1.958 0.864
O 11.182 5.595 8.245
O 9.250 4.528 10.069
O 8.588 6.718 8.453
O 8.479 1.491 2.657
O 6.710 0.094 4.701
O 5.765 2.414 3.169
O 9.466 7.878 12.522
O 11.321 9.359 10.665
O 12.193 6.812 12.134
```